# 1
First-principles (PBE-GGA) data for an optimized crystal structure of BaSrPrTiO6, as listed in the Materials Project.

Polymorph energy (0 for the lowest one)   0.03 eV per formula unit
ΔE_f   -3.22 eV/atom
SG   No. 16

a b c (Å): 8.5336 8.5384 8.5614
angles (deg): 90.00 90.00 90.00
Fractional coordinates of all 40 atoms:
1 Ba 0.0000 0.0000 0.0000
2 Ba 0.5000 0.5000 0.5000
3 Ba 0.0000 0.5000 0.0000
4 Ba 0.0000 0.0000 0.5000
5 Sr 0.0000 0.5000 0.5000
6 Sr 0.5000 0.0000 0.5000
7 Sr 0.5000 0.5000 0.0000
8 Sr 0.5000 0.0000 0.0000
9 Pr 0.7469 0.7495 0.7480
10 Pr 0.2531 0.2505 0.7480
11 Pr 0.2531 0.7495 0.2520
12 Pr 0.7469 0.2505 0.2520
13 Ti 0.2563 0.2490 0.2540
14 Ti 0.7437 0.7510 0.2540
15 Ti 0.7437 0.2490 0.7460
16 Ti 0.2563 0.7510 0.7460
17 O 0.0222 0.2266 0.2744
18 O 0.9778 0.7734 0.2744
19 O 0.9778 0.2266 0.7256
20 O 0.0222 0.7734 0.7256
21 O 0.2838 0.0218 0.2142
22 O 0.2838 0.9782 0.7858
23 O 0.7162 0.9782 0.2142
24 O 0.7162 0.0218 0.7858
25 O 0.2260 0.2767 0.0217
26 O 0.7740 0.2767 0.9783
27 O 0.2260 0.7233 0.9783
28 O 0.7740 0.7233 0.0217
29 O 0.4779 0.2946 0.2142
30 O 0.5221 0.7054 0.2142
31 O 0.5221 0.2946 0.7858
32 O 0.4779 0.7054 0.7858
33 O 0.2181 0.4774 0.2912
34 O 0.2181 0.5226 0.7088
35 O 0.7819 0.5226 0.2912
36 O 0.7819 0.4774 0.7088
37 O 0.2925 0.2127 0.4767
38 O 0.7075 0.2127 0.5233
39 O 0.2925 0.7873 0.5233
40 O 0.7075 0.7873 0.4767

=====

# 2
First-principles (PBE-GGA) data for an optimized crystal structure of U3Co2Ni4, as listed in the Materials Project.

ΔE_f   -0.23 eV/atom
SG   No. 2

a b c (Å): 4.9205 5.0066 11.9893
angles (deg): 91.19 89.60 118.98
Fractional coordinates of all 18 atoms:
1 U 0.3318 0.6720 0.2924
2 U 0.0020 0.0061 0.6216
3 U 0.6712 0.3421 0.9565
4 U 0.3288 0.6579 0.0435
5 U 0.9980 0.9939 0.3784
6 U 0.6682 0.3280 0.7076
7 Co 0.5000 0.0000 0.5000
8 Co 0.1676 0.3339 0.8339
9 Co 0.8324 0.6661 0.1661
10 Co 0.0000 0.5000 0.5000
11 Ni 0.6669 0.8335 0.8332
12 Ni 0.3331 0.1665 0.1668
13 Ni 0.3337 0.6665 0.6665
14 Ni 0.0000 0.0000 0.0000
15 Ni 0.6663 0.3335 0.3335
16 Ni 0.5000 0.5000 0.5000
17 Ni 0.1675 0.8346 0.8332
18 Ni 0.8325 0.1654 0.1668

=====

# 3
First-principles (PBE-GGA) data for an optimized crystal structure of LiCuS, as listed in the Materials Project.

ΔE_f   -0.85 eV/atom
SG   No. 194

a b c (Å): 3.8743 3.8743 6.8530
angles (deg): 90.00 90.00 120.00
Fractional coordinates of all 6 atoms:
1 Li 0.0000 0.0000 0.0000
2 Li 0.0000 0.0000 0.5000
3 Cu 0.3333 0.6667 0.2500
4 Cu 0.6667 0.3333 0.7500
5 S 0.3333 0.6667 0.7500
6 S 0.6667 0.3333 0.2500

=====

# 4
First-principles (PBE-GGA) data for an optimized crystal structure of LiMgN, as listed in the Materials Project.

ΔE_f   -0.76 eV/atom
SG   No. 62

a b c (Å): 3.5174 5.0351 7.2030
angles (deg): 90.00 90.00 90.00
Fractional coordinates of all 12 atoms:
1 Li 0.2500 0.5282 0.0961
2 Li 0.7500 0.4718 0.9039
3 Li 0.7500 0.0282 0.4039
4 Li 0.2500 0.9718 0.5961
5 Mg 0.2500 0.4796 0.6441
6 Mg 0.7500 0.9796 0.8559
7 Mg 0.2500 0.0204 0.1441
8 Mg 0.7500 0.5204 0.3559
9 N 0.7500 0.7695 0.1202
10 N 0.7500 0.7305 0.6202
11 N 0.2500 0.2305 0.8798
12 N 0.2500 0.2695 0.3798

=====

# 5
First-principles (PBE-GGA) data for an optimized crystal structure of Na10Sc6Ta2Si7S5O48, as listed in the Materials Project.

ΔE_f   -2.86 eV/atom
SG   No. 1

a b c (Å): 18.1342 9.0600 22.8245
angles (deg): 90.02 90.03 119.98
Fractional coordinates of all 234 atoms:
1 Na 0.3166 0.0011 0.2455
2 Na 0.8155 0.0131 0.2461
3 Na 0.1872 0.3666 0.2468
4 Na 0.3183 0.6208 0.7472
5 Na 0.8158 0.6312 0.7456
6 Na 0.6865 0.0069 0.7473
7 Na 0.1642 0.3403 0.5848
8 Na 0.6582 0.3374 0.5784
9 Na 0.0164 0.6988 0.5732
10 Na 0.1603 0.9831 0.0812
11 Na 0.6634 0.9865 0.0848
12 Na 0.5155 0.3326 0.0725
13 Na 0.8507 0.0225 0.9206
14 Na 0.6645 0.3114 0.9192
15 Na 0.4843 0.2894 0.4205
16 Na 0.1668 0.0204 0.4204
17 Na 0.6665 0.0521 0.4158
18 Na 0.8497 0.6552 0.4166
19 Na 0.9971 0.9912 0.4979
20 Na 0.4862 0.9805 0.4949
21 Na 0.9953 0.9924 0.9959
22 Na 0.4881 0.0018 0.9947
23 Na 0.3373 0.3321 0.8324
24 Na 0.8401 0.3426 0.8318
25 Na 0.3350 0.3499 0.3319
26 Na 0.8376 0.3431 0.3303
27 Na 0.1671 0.6529 0.1618
28 Na 0.6763 0.6710 0.1629
29 Na 0.1775 0.6860 0.6623
30 Na 0.6670 0.6827 0.6610
31 Sc 0.0040 0.0051 0.3498
32 Sc 0.4999 0.9920 0.3519
33 Sc 0.0026 0.0084 0.8512
34 Sc 0.4994 0.0035 0.8509
35 Sc 0.3266 0.3326 0.6865
36 Sc 0.8246 0.3184 0.6842
37 Sc 0.3248 0.3300 0.1837
38 Sc 0.8261 0.3200 0.1861
39 Sc 0.3324 0.3135 0.9799
40 Sc 0.8300 0.3355 0.9871
41 Sc 0.3267 0.3327 0.4869
42 Sc 0.8321 0.3480 0.4810
43 Sc 0.1723 0.6639 0.0219
44 Sc 0.6769 0.6574 0.0182
45 Sc 0.1783 0.6968 0.5184
46 Sc 0.6693 0.6661 0.5220
47 Sc 0.6652 0.6607 0.3125
48 Sc 0.1644 0.6563 0.8131
49 Ta 0.9986 0.0058 0.6501
50 Ta 0.5045 0.9886 0.6463
51 Ta 0.0042 0.0201 0.1460
52 Ta 0.4980 0.9896 0.1495
53 Ta 0.1634 0.6768 0.3108
54 Ta 0.6623 0.6470 0.8108
55 Si 0.1445 0.9992 0.2494
56 Si 0.6467 0.9946 0.2534
57 Si 0.3539 0.7025 0.2528
58 Si 0.9987 0.2954 0.2534
59 Si 0.1468 0.2960 0.7520
60 Si 0.6435 0.2871 0.7501
61 Si 0.4990 0.7032 0.7542
62 Si 0.8542 0.0051 0.7547
63 Si 0.1839 0.0355 0.5855
64 Si 0.6864 0.0339 0.5815
65 Si 0.3326 0.6294 0.5848
66 Si 0.8352 0.6321 0.5863
67 Si 0.3348 0.0399 0.0866
68 Si 0.8326 0.0364 0.0823
69 Si 0.1878 0.3360 0.0822
70 Si 0.6840 0.3321 0.0856
71 Si 0.8187 0.6673 0.9138
72 Si 0.5163 0.3715 0.9188
73 Si 0.3169 0.9695 0.4138
74 Si 0.6652 0.3739 0.4175
75 Si 0.0182 0.6632 0.4184
76 S 0.8570 0.7140 0.2500
77 S 0.5017 0.2916 0.2483
78 S 0.0027 0.7139 0.7489
79 S 0.3557 0.9994 0.7494
80 S 0.4789 0.3279 0.5843
81 S 0.9780 0.3267 0.5841
82 S 0.4777 0.6280 0.0838
83 S 0.9804 0.6321 0.0846
84 S 0.3125 0.6658 0.9158
85 S 0.0206 0.3778 0.9172
86 S 0.1651 0.9524 0.9167
87 S 0.6658 0.9539 0.9163
88 S 0.8128 0.9576 0.4160
89 S 0.1662 0.3781 0.4161
90 S 0.5212 0.6625 0.4172
91 O 0.1040 0.0312 0.3075
92 O 0.6035 0.0168 0.3119
93 O 0.4110 0.8024 0.3078
94 O 0.9034 0.7890 0.3053
95 O 0.4890 0.1891 0.3016
96 O 0.9809 0.1649 0.3065
97 O 0.0985 0.1762 0.8067
98 O 0.6025 0.1723 0.8076
99 O 0.4814 0.7994 0.8069
100 O 0.9876 0.7932 0.8003
101 O 0.4051 0.0206 0.8032
102 O 0.9082 0.0213 0.8124
103 O 0.3985 0.9719 0.6975
104 O 0.9038 0.9714 0.6981
105 O 0.0855 0.1959 0.6930
106 O 0.5841 0.1948 0.6918
107 O 0.0134 0.8202 0.6946
108 O 0.5156 0.8342 0.6953
109 O 0.4011 0.8319 0.1951
110 O 0.9027 0.8278 0.1990
111 O 0.0152 0.1966 0.1951
112 O 0.5112 0.2022 0.1952
113 O 0.0847 0.9739 0.1915
114 O 0.5836 0.9779 0.1956
115 O 0.4366 0.3485 0.6357
116 O 0.9386 0.3528 0.6365
117 O 0.2463 0.1336 0.6391
118 O 0.7374 0.1171 0.6425
119 O 0.3197 0.5183 0.6439
120 O 0.8236 0.5178 0.6442
121 O 0.4385 0.5235 0.1363
122 O 0.9422 0.5293 0.1373
123 O 0.3198 0.1210 0.1460
124 O 0.8209 0.1267 0.1406
125 O 0.2361 0.3590 0.1446
126 O 0.7468 0.3605 0.1392
127 O 0.2306 0.2893 0.0284
128 O 0.7206 0.2888 0.0253
129 O 0.4258 0.5556 0.0308
130 O 0.9282 0.5543 0.0315
131 O 0.3601 0.1705 0.0310
132 O 0.8512 0.1514 0.0224
133 O 0.2184 0.1506 0.5247
134 O 0.7268 0.1583 0.5247
135 O 0.3517 0.5445 0.5276
136 O 0.8590 0.5601 0.5271
137 O 0.4304 0.3051 0.5290
138 O 0.9262 0.2963 0.5311
139 O 0.2682 0.6862 0.9674
140 O 0.7734 0.7043 0.9692
141 O 0.0711 0.4662 0.9695
142 O 0.5753 0.4593 0.9766
143 O 0.1576 0.8568 0.9715
144 O 0.6560 0.8565 0.9702
145 O 0.2719 0.8541 0.4710
146 O 0.7694 0.8472 0.4672
147 O 0.1565 0.4562 0.4699
148 O 0.6512 0.4617 0.4760
149 O 0.0765 0.6960 0.4763
150 O 0.5746 0.6875 0.4693
151 O 0.0744 0.6524 0.3608
152 O 0.5625 0.6426 0.3636
153 O 0.2522 0.8605 0.3567
154 O 0.7621 0.8823 0.3612
155 O 0.1736 0.4800 0.3625
156 O 0.6799 0.5031 0.3625
157 O 0.0631 0.4781 0.8636
158 O 0.5738 0.4960 0.8609
159 O 0.1724 0.8607 0.8650
160 O 0.6753 0.8671 0.8632
161 O 0.2630 0.6508 0.8613
162 O 0.7536 0.6460 0.8562
163 O 0.0082 0.8349 0.4110
164 O 0.5128 0.8174 0.4132
165 O 0.4127 0.0015 0.4087
166 O 0.8970 0.9669 0.4120
167 O 0.0903 0.2024 0.4116
168 O 0.5817 0.1829 0.4135
169 O 0.0123 0.2050 0.9147
170 O 0.5141 0.1885 0.9111
171 O 0.0884 0.9700 0.9124
172 O 0.5917 0.9812 0.9113
173 O 0.3977 0.8221 0.9130
174 O 0.9112 0.8392 0.9096
175 O 0.4896 0.1732 0.5901
176 O 0.9878 0.1692 0.5915
177 O 0.0885 0.0248 0.5950
178 O 0.5917 0.0302 0.5910
179 O 0.4155 0.8257 0.5953
180 O 0.9222 0.8225 0.5951
181 O 0.4880 0.8056 0.0915
182 O 0.9905 0.8078 0.0906
183 O 0.4214 0.0219 0.0948
184 O 0.9155 0.0063 0.0949
185 O 0.0915 0.1534 0.0907
186 O 0.5887 0.1520 0.0949
187 O 0.3462 0.1496 0.7423
188 O 0.8400 0.1665 0.7462
189 O 0.2424 0.3243 0.7470
190 O 0.7408 0.3216 0.7455
191 O 0.4187 0.5172 0.7440
192 O 0.9262 0.5440 0.7414
193 O 0.3389 0.5119 0.2456
194 O 0.8475 0.5443 0.2431
195 O 0.4249 0.3069 0.2410
196 O 0.9180 0.3199 0.2439
197 O 0.2413 0.1603 0.2454
198 O 0.7417 0.1617 0.2469
199 O 0.3190 0.5106 0.9213
200 O 0.8160 0.4837 0.9175
201 O 0.4241 0.3600 0.9177
202 O 0.9332 0.3547 0.9194
203 O 0.2435 0.1241 0.9187
204 O 0.7460 0.1251 0.9179
205 O 0.3202 0.1556 0.4163
206 O 0.8212 0.1277 0.4228
207 O 0.2436 0.3594 0.4176
208 O 0.7517 0.3564 0.4198
209 O 0.4369 0.5046 0.4218
210 O 0.9240 0.4947 0.4174
211 O 0.1681 0.4914 0.0759
212 O 0.6612 0.4846 0.0825
213 O 0.0687 0.6623 0.0767
214 O 0.5654 0.6582 0.0780
215 O 0.2468 0.8577 0.0767
216 O 0.7429 0.8548 0.0773
217 O 0.1608 0.8368 0.5830
218 O 0.6665 0.8403 0.5762
219 O 0.2430 0.6313 0.5781
220 O 0.7476 0.6397 0.5799
221 O 0.0655 0.4722 0.5781
222 O 0.5667 0.4774 0.5801
223 O 0.1535 0.8248 0.2538
224 O 0.6594 0.8263 0.2526
225 O 0.2586 0.6892 0.2573
226 O 0.7726 0.7065 0.2521
227 O 0.0918 0.4723 0.2591
228 O 0.5794 0.4604 0.2511
229 O 0.1577 0.4893 0.7546
230 O 0.6530 0.4800 0.7542
231 O 0.0807 0.7023 0.7536
232 O 0.5920 0.7113 0.7596
233 O 0.2707 0.8391 0.7541
234 O 0.7591 0.8276 0.7576

=====

# 6
First-principles (PBE-GGA) data for an optimized crystal structure of SrCuAs, as listed in the Materials Project.

ΔE_f   -0.81 eV/atom
SG   No. 194

a b c (Å): 4.2906 4.2906 8.5483
angles (deg): 90.00 90.00 120.00
Fractional coordinates of all 6 atoms:
1 Sr 0.0000 0.0000 0.0000
2 Sr 0.0000 0.0000 0.5000
3 Cu 0.6667 0.3333 0.7500
4 Cu 0.3333 0.6667 0.2500
5 As 0.3333 0.6667 0.7500
6 As 0.6667 0.3333 0.2500

=====

Look up the ΔE_f of the third one.
-0.85 eV/atom

=====

Look up the ΔE_f of the first one.
-3.22 eV/atom